No. 1
HPd: relaxed, meta-GGA r2SCAN.

Cell and atoms, written as CIF:
```
data_HPd
_space_group_name_H-M_alt 'P 63 m c'
_space_group_IT_number 186
_space_group_name_Hall 'P 6c -2c'
_cell_length_a 2.9229
_cell_length_b 2.9229
_cell_length_c 5.0606
_cell_angle_alpha 90.00
_cell_angle_beta 90.00
_cell_angle_gamma 120.00
loop_
_atom_site_label
_atom_site_type_symbol
_atom_site_fract_x
_atom_site_fract_y
_atom_site_fract_z
H1 H 0.3333 0.6667 0.0000
Pd1 Pd 0.3333 0.6667 0.3559
```

Values from the calculation:
Energy of formation from the pure elements (eV per atom): -0.0893

***

No. 2
Rb2H4Pd: relaxed, meta-GGA r2SCAN.

Cell and atoms, written as CIF:
```
data_Rb2H4Pd
_space_group_name_H-M_alt 'P 42/m n m'
_space_group_IT_number 136
_space_group_name_Hall '-P 4n 2n'
_cell_length_a 5.8662
_cell_length_b 5.8662
_cell_length_c 8.5709
_cell_angle_alpha 90.00
_cell_angle_beta 90.00
_cell_angle_gamma 90.00
loop_
_atom_site_label
_atom_site_type_symbol
_atom_site_fract_x
_atom_site_fract_y
_atom_site_fract_z
Rb1 Rb 0.0000 0.5000 0.2500
H1 H 0.0000 0.0000 0.1922
H2 H 0.1988 0.1988 0.0000
Pd1 Pd 0.0000 0.0000 0.0000
```

Values from the calculation:
Energy of formation from the pure elements (eV per atom): -0.3430

***

No. 3
YbH3Pd: relaxed, meta-GGA r2SCAN.

Cell and atoms, written as CIF:
```
data_YbH3Pd
_space_group_name_H-M_alt 'P m -3 m'
_space_group_IT_number 221
_space_group_name_Hall '-P 4 2 3'
_cell_length_a 3.6451
_cell_length_b 3.6451
_cell_length_c 3.6451
_cell_angle_alpha 90.00
_cell_angle_beta 90.00
_cell_angle_gamma 90.00
loop_
_atom_site_label
_atom_site_type_symbol
_atom_site_fract_x
_atom_site_fract_y
_atom_site_fract_z
Yb1 Yb 0.0000 0.0000 0.0000
H1 H 0.0000 0.5000 0.5000
Pd1 Pd 0.5000 0.5000 0.5000
```

Values from the calculation:
Energy of formation from the pure elements (eV per atom): -0.4353

***

No. 4
PrH3: relaxed, meta-GGA r2SCAN.

Cell and atoms, written as CIF:
```
data_PrH3
_space_group_name_H-M_alt 'I 4/m m m'
_space_group_IT_number 139
_space_group_name_Hall '-I 4 2'
_cell_length_a 3.7059
_cell_length_b 3.7059
_cell_length_c 6.0095
_cell_angle_alpha 90.00
_cell_angle_beta 90.00
_cell_angle_gamma 90.00
loop_
_atom_site_label
_atom_site_type_symbol
_atom_site_fract_x
_atom_site_fract_y
_atom_site_fract_z
Pr1 Pr 0.0000 0.0000 0.0000
H1 H 0.0000 0.0000 0.5000
H2 H 0.0000 0.5000 0.2500
```

Values from the calculation:
Energy of formation from the pure elements (eV per atom): -0.6036